VASP calculation (PBE) on a relaxed Te2MoW2Se2S2 crystal.

Values from the calculation:
Formation energy ... -14.0 kcal/mol of atoms
Magnetic moment ... 0.00 μB/cell
V ... 300.18 Å³ per cell

a b c (Å): 3.3451 3.3451 30.9761
angles (deg): 90.00 90.00 120.00
Space group P3m1 (No. 156)
Inequivalent atoms, fractional coordinates:
1 Te 0.0000 0.0000 0.0000 [1 per cell]
2 Te 0.0000 0.0000 0.1223 [1 per cell]
3 Mo 0.6667 0.3333 0.0611 [1 per cell]
4 W 0.0000 0.0000 0.2925 [1 per cell]
5 W 0.6667 0.3333 0.5238 [1 per cell]
6 Se 0.0000 0.0000 0.4698 [1 per cell]
7 Se 0.0000 0.0000 0.5778 [1 per cell]
8 S 0.6667 0.3333 0.2434 [1 per cell]
9 S 0.6667 0.3333 0.3416 [1 per cell]


VASP calculation (PBE) on a relaxed TiF3 crystal.

Values from the calculation:
Formation energy ... -70.9 kcal/mol of atoms
Magnetic moment ... 2.84 μB/cell
V ... 138.88 Å³ per cell

a b c (Å): 6.6349 6.6349 3.6427
angles (deg): 90.00 90.00 120.00
Space group R-3m (No. 166, hexagonal axes)
Inequivalent atoms, fractional coordinates:
1 Ti 0.0000 0.0000 0.0000 [3 per cell]
2 F 0.0000 0.5000 0.5000 [9 per cell]


VASP calculation (PBE) on a relaxed GeSe2O6 crystal.

Values from the calculation:
Formation energy ... -34.3 kcal/mol of atoms
V ... 495.33 Å³ per cell

a b c (Å): 7.9122 7.9122 7.9122
angles (deg): 90.00 90.00 90.00
Space group Pa-3 (No. 205)
Inequivalent atoms, fractional coordinates:
1 Ge 0.0000 0.0000 0.0000 [4 per cell]
2 Se 0.1701 0.6701 0.8299 [8 per cell]
3 O 0.0272 0.7395 0.4719 [24 per cell]


VASP calculation (PBE) on a relaxed Nb8Co2Sb4Pd crystal.

Values from the calculation:
Formation energy ... -6.6 kcal/mol of atoms
Magnetic moment ... 0.06 μB/cell
V ... 552.64 Å³ per cell

a b c (Å): 10.5748 10.5748 4.9419
angles (deg): 90.00 90.00 90.00
Space group I-42m (No. 121)
Inequivalent atoms, fractional coordinates:
1 Nb 0.0793 0.2966 0.2441 [16 per cell]
2 Co 0.0000 0.5000 0.0000 [4 per cell]
3 Sb 0.1519 0.1519 0.7241 [8 per cell]
4 Pd 0.0000 0.0000 0.0000 [2 per cell]


VASP calculation (PBE) on a relaxed ErThTc2 crystal.

Values from the calculation:
Formation energy ... -1.5 kcal/mol of atoms
Magnetic moment ... 0.00 μB/cell
V ... 332.47 Å³ per cell

a b c (Å): 6.9276 6.9276 6.9276
angles (deg): 90.00 90.00 90.00
Space group Fm-3m (No. 225)
Inequivalent atoms, fractional coordinates:
1 Er 0.0000 0.0000 0.0000 [4 per cell]
2 Th 0.0000 0.0000 0.5000 [4 per cell]
3 Tc 0.2500 0.2500 0.2500 [8 per cell]


VASP calculation (PBE) on a relaxed NaSmSe2O7 crystal.

Values from the calculation:
Formation energy ... -47.9 kcal/mol of atoms
V ... 638.05 Å³ per cell

a b c (Å): 10.9229 7.0017 8.3452
angles (deg): 90.00 91.36 90.00
Space group P2_1/c (No. 14)
Inequivalent atoms, fractional coordinates:
1 Na 0.0629 0.1261 0.3114 [4 per cell]
2 Sm 0.4139 0.6488 0.6951 [4 per cell]
3 Se 0.1614 0.6423 0.4566 [4 per cell]
4 Se 0.3319 0.1704 0.5564 [4 per cell]
5 O 0.0576 0.6840 0.9530 [4 per cell]
6 O 0.1185 0.0277 0.8289 [4 per cell]
7 O 0.1896 0.5605 0.6441 [4 per cell]
8 O 0.3050 0.7230 0.4222 [4 per cell]
9 O 0.3399 0.1151 0.3584 [4 per cell]
10 O 0.4131 0.5050 0.1625 [4 per cell]
11 O 0.4503 0.1588 0.0649 [4 per cell]